Computed, not measured: an optimized crystal structure of UIrPt4 at the GGA-PBE level of DFT.

a = 7.462 Å, b = 7.462 Å, c = 7.462 Å
α = 90.00°, β = 90.00°, γ = 90.00°
Space group F-43m (No. 216)
Asymmetric unit:
U 0.000 0.000 0.000
Ir 0.250 0.250 0.750
Pt 0.125 0.125 0.375

Output
* total energy: -0.285 Ha/atom
* spin magnetization: 0.0 Bohr magnetons per cell



Computed, not measured: an optimized crystal structure of LaF3 at the GGA-PBE level of DFT.

a = 8.628 Å, b = 10.553 Å, c = 4.531 Å
α = 90.00°, β = 90.00°, γ = 90.00°
Space group Cmme (No. 67)
Asymmetric unit:
La 0.000 0.000 0.000
La 0.250 0.250 0.500
F 0.000 0.128 0.429
F 0.000 0.250 0.891
F 0.250 0.000 0.500
F 0.250 0.125 0.000

Output
* corrected total energy (MP2020 scheme): -223.52 eV/cell
* total energy: -0.244 Ha/atom
* spin magnetization: 0.0 Bohr magnetons per cell



Computed, not measured: an optimized crystal structure of NaEuTiBiO6 at the GGA-PBE level of DFT.

a = 8.137 Å, b = 8.137 Å, c = 8.137 Å
α = 90.00°, β = 90.00°, γ = 90.00°
Space group F-43m (No. 216)
Asymmetric unit:
Na 0.000 0.000 0.000
Eu 0.000 0.000 0.500
Ti 0.250 0.250 0.750
Bi 0.250 0.250 0.250
O 0.010 0.250 0.750

Output
* corrected total energy (MP2020 scheme): -310.58 eV/cell
* total energy: -0.270 Ha/atom
* spin magnetization: 26.8 Bohr magnetons per cell



Computed, not measured: an optimized crystal structure of KNdPdO3 at the GGA-PBE level of DFT.

a = 13.366 Å, b = 3.975 Å, c = 7.574 Å
α = 90.00°, β = 104.93°, γ = 90.00°
Space group C2/m (No. 12)
Asymmetric unit:
K 0.144 0.000 0.065
Nd 0.150 0.000 0.579
Pd 0.007 0.500 0.272
O 0.007 0.000 0.312
O 0.152 0.500 0.778
O 0.169 0.500 0.367

Output
* corrected total energy (MP2020 scheme): -158.33 eV/cell
* total energy: -0.230 Ha/atom
* spin magnetization: 0.0 Bohr magnetons per cell



Computed, not measured: an optimized crystal structure of KPr9Si6O26 at the GGA-PBE level of DFT.

a = 9.7172 Å, b = 9.7172 Å, c = 7.2173 Å
α = 90.00°, β = 90.00°, γ = 120.00°
Space group P3 (No. 143)
Asymmetric unit:
K 0.0000 0.0000 0.0000
Pr 0.0000 0.0000 0.4989
Pr 0.0923 0.6581 0.2497
Pr 0.0999 0.4209 0.7527
Pr 0.6667 0.3333 0.0003
Pr 0.6667 0.3333 0.5007
Si 0.3066 0.0381 0.2546
Si 0.3653 0.3001 0.7452
O 0.0207 0.8258 0.7301
O 0.0825 0.3283 0.4355
O 0.0826 0.3385 0.0752
O 0.2193 0.1440 0.2704
O 0.3333 0.6667 0.2571
O 0.3333 0.6667 0.7524
O 0.4259 0.4126 0.9335
O 0.4391 0.4220 0.5659
O 0.4606 0.1984 0.7506
O 0.5023 0.1547 0.2506

Output
* corrected total energy (MP2020 scheme): -357.27 eV/cell
* total energy: -0.297 Ha/atom
* spin magnetization: 0.0 Bohr magnetons per cell



Computed, not measured: an optimized crystal structure of CeNdZn2 at the GGA-PBE level of DFT.

a = 7.687 Å, b = 7.687 Å, c = 7.687 Å
α = 90.00°, β = 90.00°, γ = 90.00°
Space group Fm-3m (No. 225)
Asymmetric unit:
Ce 0.000 0.000 0.000
Nd 0.000 0.000 0.500
Zn 0.250 0.250 0.250

Output
* total energy: -0.128 Ha/atom
* spin magnetization: 4.8 Bohr magnetons per cell



Computed, not measured: an optimized crystal structure of CeSe2 at the GGA-PBE level of DFT.

a = 17.542 Å, b = 17.542 Å, c = 17.542 Å
α = 90.00°, β = 90.00°, γ = 90.00°
Space group Pa-3 (No. 205)
Asymmetric unit:
Ce 0.050 0.147 0.279
Se 0.048 0.247 0.666
Se 0.070 0.219 0.415

Output
* corrected total energy (MP2020 scheme): -411.46 eV/cell
* total energy: -0.198 Ha/atom
* spin magnetization: 0.0 Bohr magnetons per cell



Computed, not measured: an optimized crystal structure of Cs2AsAuCl6 at the GGA-PBE level of DFT.

a = 10.538 Å, b = 10.538 Å, c = 10.538 Å
α = 90.00°, β = 90.00°, γ = 90.00°
Space group Fm-3m (No. 225)
Asymmetric unit:
Cs 0.250 0.250 0.250
As 0.000 0.000 0.000
Au 0.000 0.000 0.500
Cl 0.000 0.000 0.241

Output
* corrected total energy (MP2020 scheme): -141.39 eV/cell
* total energy: -0.116 Ha/atom
* spin magnetization: 0.0 Bohr magnetons per cell



Repeat the sixth record exactly.
Computed, not measured: an optimized crystal structure of CeNdZn2 at the GGA-PBE level of DFT.

a = 7.687 Å, b = 7.687 Å, c = 7.687 Å
α = 90.00°, β = 90.00°, γ = 90.00°
Space group Fm-3m (No. 225)
Asymmetric unit:
Ce 0.000 0.000 0.000
Nd 0.000 0.000 0.500
Zn 0.250 0.250 0.250

Output
* total energy: -0.128 Ha/atom
* spin magnetization: 4.8 Bohr magnetons per cell



Question: What is the formula in the seventh record?
Answer: CeSe2



Question: The lowest total energy belongs to which entry?
Answer: KPr9Si6O26



Question: Which of these has the highest spin magnetization?
Answer: NaEuTiBiO6